Entry 1:
## CsB5O8 (PBE)

Data for a relaxed structure of CsB5O8.

a = 8.127 Å, b = 12.305 Å, c = 15.171 Å
α = 90.00°, β = 90.00°, γ = 90.00°
Positions (direct):
Cs 0.046 0.213 0.623
Cs 0.546 0.213 0.877
Cs 0.546 0.287 0.377
Cs 0.454 0.787 0.123
Cs 0.046 0.287 0.123
Cs 0.954 0.713 0.877
Cs 0.454 0.713 0.623
Cs 0.954 0.787 0.377
B 0.970 0.731 0.625
B 0.513 0.965 0.337
B 0.450 0.906 0.793
B 0.950 0.594 0.207
B 0.487 0.465 0.163
B 0.619 0.900 0.922
B 0.487 0.035 0.663
B 0.119 0.900 0.578
B 0.987 0.465 0.337
B 0.677 0.080 0.547
B 0.881 0.100 0.422
B 0.470 0.731 0.875
B 0.970 0.769 0.125
B 0.013 0.535 0.663
B 0.950 0.906 0.707
B 0.550 0.094 0.207
B 0.823 0.920 0.047
B 0.987 0.035 0.837
B 0.119 0.600 0.078
B 0.530 0.231 0.625
B 0.323 0.920 0.453
B 0.050 0.094 0.293
B 0.677 0.420 0.047
B 0.823 0.580 0.547
B 0.030 0.231 0.875
B 0.381 0.100 0.078
B 0.530 0.269 0.125
B 0.050 0.406 0.793
B 0.619 0.600 0.422
B 0.013 0.965 0.163
B 0.550 0.406 0.707
B 0.030 0.269 0.375
B 0.513 0.535 0.837
B 0.323 0.580 0.953
B 0.381 0.400 0.578
B 0.881 0.400 0.922
B 0.177 0.080 0.953
B 0.177 0.420 0.453
B 0.470 0.769 0.375
B 0.450 0.594 0.293
O 0.218 0.543 0.019
O 0.947 0.141 0.826
O 0.098 0.499 0.402
O 0.947 0.359 0.326
O 0.155 0.312 0.436
O 0.845 0.688 0.564
O 0.447 0.141 0.674
O 0.953 0.039 0.355
O 0.447 0.359 0.174
O 0.345 0.812 0.436
O 0.282 0.043 0.019
O 0.417 0.546 0.214
O 0.594 0.791 0.928
O 0.083 0.046 0.214
O 0.553 0.641 0.826
O 0.094 0.709 0.072
O 0.402 0.999 0.402
O 0.594 0.709 0.428
O 0.107 0.303 0.809
O 0.053 0.641 0.674
O 0.607 0.303 0.691
O 0.053 0.859 0.174
O 0.917 0.546 0.286
O 0.902 0.501 0.598
O 0.598 0.001 0.598
O 0.393 0.697 0.309
O 0.553 0.859 0.326
O 0.345 0.688 0.936
O 0.547 0.539 0.355
O 0.845 0.812 0.064
O 0.583 0.454 0.786
O 0.047 0.961 0.645
O 0.083 0.454 0.714
O 0.906 0.209 0.428
O 0.655 0.188 0.564
O 0.406 0.291 0.572
O 0.782 0.457 0.981
O 0.906 0.291 0.928
O 0.598 0.499 0.098
O 0.782 0.043 0.481
O 0.902 0.999 0.098
O 0.453 0.461 0.645
O 0.718 0.957 0.981
O 0.406 0.209 0.072
O 0.718 0.543 0.481
O 0.094 0.791 0.572
O 0.893 0.697 0.191
O 0.417 0.954 0.714
O 0.547 0.961 0.855
O 0.655 0.312 0.064
O 0.583 0.046 0.286
O 0.607 0.197 0.191
O 0.047 0.539 0.145
O 0.893 0.803 0.691
O 0.282 0.457 0.519
O 0.402 0.501 0.902
O 0.155 0.188 0.936
O 0.107 0.197 0.309
O 0.098 0.001 0.902
O 0.393 0.803 0.809
O 0.917 0.954 0.786
O 0.953 0.461 0.855
O 0.453 0.039 0.145
O 0.218 0.957 0.519

Properties
Its distance to the lowest polymorph of the same formula is 0 meV per atom.

Entry 2:
## CsB9O14 (PBE)

Data for a relaxed structure of CsB9O14.

a = 8.861 Å, b = 8.917 Å, c = 15.995 Å
α = 90.00°, β = 90.00°, γ = 90.00°
Positions (direct):
Cs 0.993 0.000 0.500
Cs 0.500 0.527 0.250
Cs 0.500 0.473 0.750
Cs 0.007 0.000 0.000
B 0.115 0.442 0.117
B 0.633 0.667 0.561
B 0.151 0.360 0.375
B 0.323 0.958 0.185
B 0.849 0.640 0.875
B 0.677 0.042 0.685
B 0.564 0.828 0.448
B 0.923 0.626 0.139
B 0.221 0.147 0.277
B 0.849 0.360 0.125
B 0.885 0.558 0.617
B 0.221 0.853 0.723
B 0.632 0.285 0.031
B 0.182 0.880 0.305
B 0.779 0.147 0.223
B 0.367 0.333 0.061
B 0.077 0.626 0.361
B 0.564 0.172 0.552
B 0.818 0.880 0.195
B 0.436 0.828 0.052
B 0.779 0.853 0.777
B 0.077 0.374 0.639
B 0.368 0.285 0.469
B 0.633 0.333 0.439
B 0.436 0.172 0.948
B 0.323 0.042 0.815
B 0.923 0.374 0.861
B 0.115 0.558 0.883
B 0.151 0.640 0.625
B 0.367 0.667 0.939
B 0.818 0.120 0.805
B 0.182 0.120 0.695
B 0.885 0.442 0.383
B 0.632 0.715 0.969
B 0.677 0.958 0.315
B 0.368 0.715 0.531
O 0.731 0.579 0.604
O 0.586 0.799 0.039
O 0.013 0.330 0.116
O 0.924 0.410 0.632
O 0.731 0.421 0.396
O 0.221 0.707 0.550
O 0.987 0.330 0.384
O 0.298 0.106 0.204
O 0.481 0.646 0.578
O 0.779 0.293 0.050
O 0.519 0.354 0.078
O 0.779 0.707 0.950
O 0.787 0.291 0.202
O 0.676 0.234 0.503
O 0.160 0.970 0.675
O 0.725 0.843 0.263
O 0.213 0.291 0.298
O 0.813 0.477 0.867
O 0.599 0.929 0.387
O 0.324 0.766 0.003
O 0.599 0.071 0.613
O 0.840 0.970 0.825
O 0.586 0.201 0.961
O 0.013 0.670 0.884
O 0.401 0.929 0.113
O 0.401 0.071 0.887
O 0.213 0.709 0.702
O 0.076 0.410 0.868
O 0.187 0.523 0.367
O 0.924 0.590 0.368
O 0.702 0.894 0.704
O 0.324 0.234 0.997
O 0.103 0.221 0.650
O 0.897 0.779 0.150
O 0.298 0.894 0.796
O 0.103 0.779 0.350
O 0.840 0.030 0.175
O 0.269 0.579 0.896
O 0.987 0.670 0.616
O 0.897 0.221 0.850
O 0.414 0.201 0.539
O 0.519 0.646 0.922
O 0.076 0.590 0.132
O 0.275 0.157 0.763
O 0.269 0.421 0.104
O 0.787 0.709 0.798
O 0.221 0.293 0.450
O 0.275 0.843 0.237
O 0.414 0.799 0.461
O 0.813 0.523 0.133
O 0.725 0.157 0.737
O 0.160 0.030 0.325
O 0.481 0.354 0.422
O 0.187 0.477 0.633
O 0.676 0.766 0.497
O 0.702 0.106 0.296

Entry 3:
## CsBS3O11 (PBE)

Data for a relaxed structure of CsBS3O11.

a = 11.720 Å, b = 8.479 Å, c = 10.755 Å
α = 76.79°, β = 90.00°, γ = 90.00°
Positions (direct):
Cs 0.631 0.443 0.242
Cs 0.131 0.057 0.758
Cs 0.369 0.557 0.758
Cs 0.869 0.943 0.242
B 0.222 0.563 0.323
B 0.722 0.937 0.677
B 0.778 0.437 0.677
B 0.278 0.063 0.323
S 0.337 0.296 0.453
S 0.837 0.204 0.547
S 0.663 0.704 0.547
S 0.163 0.796 0.453
S 0.523 0.049 0.765
S 0.023 0.451 0.235
S 0.477 0.951 0.235
S 0.977 0.549 0.765
S 0.660 0.802 0.923
S 0.160 0.698 0.077
S 0.340 0.198 0.077
S 0.840 0.302 0.923
O 0.457 0.259 0.448
O 0.957 0.241 0.552
O 0.543 0.741 0.552
O 0.043 0.759 0.448
O 0.711 0.676 0.430
O 0.211 0.824 0.570
O 0.289 0.324 0.570
O 0.789 0.176 0.430
O 0.484 0.782 0.237
O 0.984 0.718 0.763
O 0.516 0.218 0.763
O 0.016 0.282 0.237
O 0.579 0.045 0.235
O 0.079 0.455 0.765
O 0.421 0.955 0.765
O 0.921 0.545 0.235
O 0.578 0.677 0.919
O 0.078 0.823 0.081
O 0.422 0.323 0.081
O 0.922 0.177 0.919
O 0.726 0.794 0.036
O 0.226 0.706 0.964
O 0.274 0.206 0.964
O 0.774 0.294 0.036
O 0.315 0.444 0.339
O 0.815 0.056 0.661
O 0.685 0.556 0.661
O 0.185 0.944 0.339
O 0.763 0.343 0.579
O 0.263 0.157 0.421
O 0.237 0.657 0.421
O 0.737 0.843 0.579
O 0.608 0.016 0.665
O 0.108 0.484 0.335
O 0.392 0.984 0.335
O 0.892 0.516 0.665
O 0.740 0.830 0.807
O 0.240 0.670 0.193
O 0.260 0.170 0.193
O 0.760 0.330 0.807
O 0.594 0.977 0.901
O 0.094 0.523 0.099
O 0.406 0.023 0.099
O 0.906 0.477 0.901

Properties
The total moment comes out at 0.00 μB per atom.

Entry 4:
## Cs2B2S3O13 (PBE)

Data for a relaxed structure of Cs2B2S3O13.

a = 6.843 Å, b = 12.717 Å, c = 15.429 Å
α = 75.56°, β = 90.00°, γ = 90.00°
Positions (direct):
Cs 0.672 0.266 0.882
Cs 0.172 0.234 0.118
Cs 0.328 0.734 0.118
Cs 0.828 0.766 0.882
Cs 0.225 0.134 0.488
Cs 0.725 0.366 0.512
Cs 0.775 0.866 0.512
Cs 0.275 0.634 0.488
B 0.637 0.979 0.249
B 0.137 0.521 0.751
B 0.363 0.021 0.751
B 0.863 0.479 0.249
B 0.552 0.374 0.244
B 0.052 0.126 0.756
B 0.448 0.626 0.756
B 0.948 0.874 0.244
S 0.689 0.164 0.307
S 0.189 0.336 0.693
S 0.311 0.836 0.693
S 0.811 0.664 0.307
S 0.743 0.458 0.090
S 0.243 0.042 0.910
S 0.257 0.542 0.910
S 0.757 0.958 0.090
S 0.258 0.951 0.321
S 0.758 0.549 0.679
S 0.742 0.049 0.679
S 0.242 0.451 0.321
O 0.879 0.211 0.283
O 0.379 0.289 0.717
O 0.121 0.789 0.717
O 0.621 0.711 0.283
O 0.662 0.098 0.398
O 0.162 0.402 0.602
O 0.338 0.902 0.602
O 0.838 0.598 0.398
O 0.822 0.404 0.026
O 0.322 0.096 0.974
O 0.178 0.596 0.974
O 0.678 0.904 0.026
O 0.657 0.564 0.057
O 0.157 0.936 0.943
O 0.343 0.436 0.943
O 0.843 0.064 0.057
O 0.196 0.884 0.407
O 0.696 0.616 0.593
O 0.804 0.116 0.593
O 0.304 0.384 0.407
O 0.230 0.067 0.307
O 0.730 0.433 0.693
O 0.770 0.933 0.693
O 0.270 0.567 0.307
O 0.816 0.933 0.284
O 0.316 0.567 0.716
O 0.184 0.067 0.716
O 0.684 0.433 0.284
O 0.625 0.100 0.238
O 0.125 0.400 0.762
O 0.375 0.900 0.762
O 0.875 0.600 0.238
O 0.475 0.923 0.311
O 0.975 0.577 0.689
O 0.525 0.077 0.689
O 0.025 0.423 0.311
O 0.159 0.913 0.243
O 0.659 0.587 0.757
O 0.841 0.087 0.757
O 0.341 0.413 0.243
O 0.530 0.255 0.292
O 0.030 0.245 0.708
O 0.470 0.745 0.708
O 0.970 0.755 0.292
O 0.592 0.378 0.148
O 0.092 0.122 0.852
O 0.408 0.622 0.852
O 0.908 0.878 0.148
O 0.910 0.463 0.158
O 0.410 0.037 0.842
O 0.090 0.537 0.842
O 0.590 0.963 0.158

Properties
The total moment comes out at 0.00 μB per atom.

Entry 5:
## CsSi2BO6 (PBE)

Data for a relaxed structure of CsSi2BO6.

a = 11.390 Å, b = 11.390 Å, c = 11.390 Å
α = 109.26°, β = 109.26°, γ = 109.90°
Positions (direct):
Cs 0.373 0.373 0.247
Cs 0.627 0.873 0.000
Cs 0.123 0.623 0.747
Cs 0.377 0.123 0.500
Cs 0.877 0.377 0.253
Cs 0.623 0.877 0.500
Cs 0.127 0.127 0.753
Cs 0.873 0.627 0.000
Si 0.905 0.130 0.957
Si 0.673 0.630 0.225
Si 0.880 0.155 0.457
Si 0.198 0.655 0.275
Si 0.345 0.620 0.543
Si 0.577 0.120 0.275
Si 0.370 0.595 0.043
Si 0.052 0.095 0.225
Si 0.405 0.448 0.775
Si 0.173 0.948 0.043
Si 0.380 0.923 0.725
Si 0.698 0.423 0.543
Si 0.845 0.302 0.725
Si 0.077 0.802 0.457
Si 0.870 0.827 0.775
Si 0.552 0.327 0.957
B 0.586 0.586 0.671
B 0.414 0.086 0.000
B 0.336 0.836 0.171
B 0.164 0.336 0.500
B 0.664 0.164 0.829
B 0.836 0.664 0.500
B 0.914 0.914 0.329
B 0.086 0.414 0.000
O 0.235 0.467 0.025
O 0.942 0.967 0.232
O 0.217 0.485 0.525
O 0.460 0.985 0.268
O 0.015 0.283 0.475
O 0.308 0.783 0.268
O 0.033 0.265 0.975
O 0.790 0.765 0.232
O 0.735 0.710 0.768
O 0.442 0.210 0.975
O 0.717 0.192 0.732
O 0.960 0.692 0.475
O 0.515 0.040 0.732
O 0.808 0.540 0.525
O 0.533 0.558 0.768
O 0.290 0.058 0.025
O 0.953 0.122 0.106
O 0.515 0.622 0.169
O 0.872 0.203 0.606
O 0.096 0.703 0.331
O 0.297 0.628 0.394
O 0.735 0.128 0.331
O 0.378 0.547 0.894
O 0.154 0.047 0.169
O 0.453 0.346 0.831
O 0.015 0.846 0.894
O 0.372 0.765 0.669
O 0.596 0.265 0.394
O 0.797 0.404 0.669
O 0.235 0.904 0.606
O 0.878 0.985 0.831
O 0.654 0.485 0.106
O 0.083 0.505 0.125
O 0.879 0.005 0.422
O 0.255 0.333 0.625
O 0.207 0.833 0.078
O 0.167 0.245 0.375
O 0.371 0.745 0.078
O 0.995 0.417 0.875
O 0.043 0.917 0.422
O 0.583 0.457 0.578
O 0.379 0.957 0.875
O 0.755 0.129 0.922
O 0.707 0.629 0.375
O 0.667 0.293 0.922
O 0.871 0.793 0.625
O 0.495 0.621 0.578
O 0.543 0.121 0.125

Properties
The total moment comes out at 0.00 μB per atom.

no.,energy of formation from the pure elements (meV/atom)
1,-2835
2,-2830
3,-2018
4,-2223
5,-3054